The following is a DFT calculation (PBE-GGA) of crystalline RbTi5Se8 at its relaxed geometry.

The space group is C2/m (No. 12) and the conventional cell measures 19.022, 3.648 and 9.239 Å, with angles of 90.00, 104.73 and 90.00 degrees. The distinct sites, in fractional coordinates, are Rb at (0.000, 0.000, 0.000), Ti at (0.000, 0.500, 0.500), Ti at (0.157, 0.000, 0.502), Ti at (0.208, 0.000, 0.847), Se at (0.074, 0.000, 0.674), Se at (0.089, 0.500, 0.327), Se at (0.162, 0.500, 0.998) and Se at (0.244, 0.500, 0.667).

The calculation puts the total energy at -6.098 eV/atom.

The following is a DFT calculation (PBE-GGA) of crystalline Nb3AlC2 at its relaxed geometry.

The space group is P6_3/mmc (No. 194) and the conventional cell measures 3.1305, 3.1305 and 19.2499 Å, with angles of 90.00, 90.00 and 120.00 degrees. The distinct sites, in fractional coordinates, are Nb at (0.0000, 0.0000, 0.0000), Nb at (0.3333, 0.6667, 0.1338), Al at (0.0000, 0.0000, 0.2500) and C at (0.3333, 0.6667, 0.5692).

The calculation puts the total energy at -9.273 eV/atom.